Compound: NdTmZn2
Source: the Materials Project database
Functional: PBE
Structure: relaxed

Calculated values
ΔE_f in kJ/mol of formula units: -125

Cell: 7.218 7.218 7.218 Å, 90.00 90.00 90.00°
Space group Fm-3m (No. 225)
Inequivalent atoms, fractional coordinates:
Nd1 0.000 0.000 0.000 [4 per cell]
Tm1 0.000 0.000 0.500 [4 per cell]
Zn1 0.250 0.250 0.250 [8 per cell]